(1)
Computed, not measured: crystalline K2MgCl4 at its relaxed geometry at the PBE level of DFT.

Values from the calculation:
Space-group type: I4/mmm (139)
Calculated formation energy: -52.2 kcal/mol of atoms

The structure in extended XYZ format:
```
7
Lattice="-2.503 2.503 7.880 2.503 -2.503 7.880 2.503 2.503 -7.880" Properties=species:S:1:pos:R:3 pbc="T T T"
K 0.000 0.000 2.248
K 0.000 0.000 13.513
Mg 0.000 0.000 7.880
Cl 2.503 0.000 0.000
Cl 0.000 0.000 5.367
Cl 0.000 2.503 0.000
Cl 0.000 0.000 10.393
```

---

(2)
Computed, not measured: crystalline Cs2HfI6 at its relaxed geometry at the PBE level of DFT.

Values from the calculation:
Space-group type: Fm-3m (225)
Calculated formation energy: -34.9 kcal/mol of atoms

The structure in extended XYZ format:
```
9
Lattice="0.000 6.002 6.002 6.002 0.000 6.002 6.002 6.002 0.000" Properties=species:S:1:pos:R:3 pbc="T T T"
Cs 3.001 3.001 3.001
Cs 9.003 9.003 9.003
Hf 0.000 0.000 0.000
I 6.002 6.002 2.863
I 6.002 2.863 6.002
I 9.142 6.002 6.002
I 2.863 6.002 6.002
I 6.002 9.142 6.002
I 6.002 6.002 9.142
```

---

Result set for DFT total energy: -3.514; -3.580 eV/atom, one per record in the order listed.
Result set for MP2020-corrected energy: -27.05; -34.50 eV per cell, one per record in the order listed.